Entry 1:
15
Lattice="6.0020 0.0000 0.0000 -2.9348 5.3714 0.0000 -0.0298 -3.4987 5.0244" Properties=species:S:1:pos:R:3 comment="Li3Fe4O3F5, optimized geometry, DFT PBE with a Hubbard U" magmom_total_mub_per_cell=16.00 formation_enthalpy_0k_ev_per_fu=-34.19 energy_mp2020_ev_per_atom=-6.548 sg=P1 de_polymorph_mev_per_atom=0 pbc="T T T"
Li 0.0000 0.0000 0.0000
Li -1.4344 0.9395 2.4591
Li 0.0440 1.8698 4.9943
Fe -1.3467 2.6048 0.0827
Fe 1.4067 0.9834 2.4098
Fe 1.4792 2.6255 0.0150
Fe 3.0648 3.5959 2.4810
O 0.0211 1.6331 1.1463
O 0.0322 -0.1386 3.6400
O 3.0186 1.9449 1.3165
F -1.4285 4.5425 1.0797
F -1.4687 2.6602 3.8463
F 1.5914 4.4821 1.0686
F 1.5561 2.6200 3.8535
F 3.0302 0.1742 3.8062

Entry 2:
30
Lattice="5.8277 0.0000 0.0000 2.8109 5.1086 0.0000 2.7800 1.6595 10.3854" Properties=species:S:1:pos:R:3 comment="Li3Mn4O8, optimized geometry, DFT PBE with a Hubbard U" magmom_total_mub_per_cell=30.00 formation_enthalpy_0k_ev_per_fu=-30.99 energy_mp2020_ev_per_atom=-7.530 sg=P-1 de_polymorph_mev_per_atom=30 pbc="T T T"
Li 0.0000 0.0000 0.0000
Li 2.7549 1.6519 8.1789
Li 5.7304 3.4206 7.3965
Li 5.7093 3.3841 5.1927
Li 5.6883 3.3475 2.9889
Li 8.6638 5.1162 2.2065
Mn 1.3900 0.8297 5.1927
Mn 1.4055 2.5543 0.0000
Mn 2.7955 3.3841 5.1927
Mn 2.8335 1.6839 2.5908
Mn 2.9139 0.0000 0.0000
Mn 4.3039 0.8297 5.1927
Mn 4.3193 2.5543 0.0000
Mn 8.5852 5.0842 7.7946
O 4.1623 4.3007 6.2691
O 2.8631 3.3022 1.0800
O 1.5191 0.8523 1.0600
O 2.8376 1.5068 6.2710
O 5.6602 5.1719 4.1110
O 4.2124 2.4609 4.1274
O 7.1352 5.8586 9.3038
O 5.8005 3.2716 9.3104
O 5.6182 3.4965 1.0751
O 4.2835 0.9096 1.0816
O 7.2062 4.3072 6.2580
O 5.7585 1.5962 6.2744
O 8.5811 5.2614 4.1144
O 9.8996 5.9158 9.3254
O 8.5555 3.4659 9.3054
O 7.2564 2.4675 4.1163

Entry 3:
26
Lattice="-4.2125 -4.8496 0.7798 -2.8918 3.3149 -6.2605 3.0462 -5.6417 -4.0579" Properties=species:S:1:pos:R:3 comment="KMnSn3O8, optimized geometry, DFT PBE with a Hubbard U" formation_enthalpy_0k_ev_per_fu=-27.07 energy_mp2020_ev_per_atom=-6.843 de_polymorph_mev_per_atom=0 pbc="T T T"
K -0.9438 -3.4866 -9.9590
K -3.0508 -5.9108 -9.5682
Mn -2.1622 -1.7556 -6.9512
Mn -4.2675 -4.1797 -6.5605
Sn 0.2421 -3.0340 -2.9069
Sn -1.8643 -5.4588 -2.5170
Sn -2.8325 -7.3986 -5.6597
Sn -0.7261 -4.9737 -6.0495
Sn -3.3247 -2.1369 -3.6086
Sn -1.2186 0.2879 -3.9986
O -0.6352 -2.9923 -6.6051
O -2.7415 -5.4171 -6.2151
O -1.2992 -1.7073 -3.3257
O -3.4055 -4.1321 -2.9358
O -2.8105 -7.0149 -3.6381
O -0.7043 -4.5902 -4.0280
O -3.2529 -2.5423 -5.5653
O -1.1467 -0.1175 -5.9553
O -2.9788 -6.3862 -0.9838
O -0.8727 -3.9613 -1.3738
O -3.3131 -3.4625 -8.1150
O -1.2075 -1.0385 -8.5073
O -3.3545 -0.0083 -3.9699
O -5.4608 -2.4327 -3.5800
O 1.4191 -4.6730 -6.0663
O -0.6872 -7.0978 -5.6764

Entry 4:
88
Lattice="9.7370 0.0000 0.0000 4.8309 8.4902 0.0000 0.0415 0.1216 14.1844" Properties=species:S:1:pos:R:3 comment="Li4V3P8O29, optimized geometry, DFT PBE with a Hubbard U" magmom_total_mub_per_cell=2.00 formation_enthalpy_0k_ev_per_fu=-113.27 energy_mp2020_ev_per_atom=-7.613 sg=P1 de_polymorph_mev_per_atom=9 pbc="T T T"
Li 0.0000 0.0000 0.0000
Li 2.8861 4.9975 7.1180
Li 4.3655 0.1578 7.0914
Li 5.1434 1.2864 14.0913
Li 6.4812 2.1572 5.4789
Li 7.7969 2.0943 12.4167
Li 12.2735 7.7159 6.2846
Li 11.2775 5.2412 14.1778
V 4.3243 4.1981 9.8473
V 6.4090 7.7864 2.7460
V 4.9692 2.9924 2.6921
V 7.7139 7.8442 9.7835
V 9.7966 4.1360 2.7670
V 9.2733 3.0250 9.7033
P 0.0448 0.1126 11.1085
P 4.7729 7.1328 8.5160
P 4.1597 5.8461 1.4412
P 2.1874 2.1477 1.0266
P 2.2975 2.1756 8.0897
P 7.0466 4.9384 4.3981
P 7.1114 5.0089 11.4698
P 5.1158 1.3031 11.0609
P 4.4816 0.0548 4.0582
P 6.4191 2.0600 8.5144
P 9.2998 7.0690 1.4825
P 7.7827 2.0111 1.3541
P 10.0746 5.9719 8.5293
P 8.9971 1.2025 3.9525
P 11.2440 5.1628 11.1290
P 12.6368 5.1231 4.0299
O 3.2648 5.7057 0.2810
O 4.6482 7.9486 12.4186
O 0.2782 0.0516 3.8892
O 3.0507 4.9606 10.9460
O 1.4560 0.8774 1.5471
O 2.9516 3.4961 8.6942
O 5.0749 7.0870 1.4262
O 2.3615 2.3347 13.7303
O 4.2972 5.6405 8.5730
O 2.4358 2.2011 6.6080
O 1.5738 0.2035 10.7592
O 3.6591 3.7841 3.8016
O 6.3262 7.1885 8.6392
O 5.0192 4.5610 1.7118
O 3.6572 2.1485 1.6775
O 3.1025 0.9263 8.6728
O 6.3107 6.1528 3.8202
O 4.2901 2.5948 10.8220
O 5.6497 4.9734 10.8195
O 2.9686 0.0899 3.8462
O 5.6542 3.3764 8.7118
O 7.7682 7.0167 1.7087
O 7.0462 5.1063 12.9430
O 9.0255 8.5611 10.9993
O 7.7515 6.2829 10.7550
O 5.0819 1.5046 3.8658
O 6.4013 3.6131 3.7631
O 7.0938 4.7468 5.8663
O 9.0561 7.1658 8.5285
O 6.2345 2.1687 1.3841
O 5.9328 1.4061 12.3176
O 9.7176 7.8471 0.2949
O 9.8076 8.0100 5.3535
O 6.0219 1.3158 7.2692
O 6.1050 1.1329 9.8050
O 9.9407 7.7047 2.8332
O 8.5152 4.9714 3.7541
O 7.8371 3.7446 10.9394
O 8.4652 3.3616 1.6561
O 7.9384 2.2983 8.5841
O 9.8734 5.6158 1.4784
O 9.3265 4.6403 8.6197
O 10.8566 6.1666 9.9408
O 8.0609 1.1030 5.1061
O 8.2507 1.3761 0.0732
O 8.1423 1.0397 2.5768
O 11.0619 6.1272 7.4207
O 10.8716 5.7402 12.4323
O 9.7481 2.5621 3.8103
O 9.1483 1.5193 11.0108
O 11.1120 4.8721 3.8453
O 10.5691 3.8056 10.8054
O 11.1837 3.4064 1.6215
O 10.6093 2.1001 8.6828
O 13.8946 7.8046 7.3486
O 13.9627 7.7642 9.9021
O 13.0371 6.0690 2.8110
O 12.9180 5.7869 5.3344